Record 1
This record from the Materials Project describes an optimized crystal structure of Rb2MgFe2S4. The functional is PBE-GGA.

**Energy above the lowest structure with this stoichiometry**: 0.0 meV per atom
**Energy with MP2020 corrections**: -45.36 eV for the cell shown
**Formation energy from the elements**: -89 kJ per mole of atoms
**Magnetization**: 8.01 μB per formula unit
**DFT total energy**: -43.3 eV/cell

Unit cell a=6.1146 b=7.1590 c=7.2608 alpha=119.54 beta=113.38 gamma=90.00
Fractional positions:
1 Rb 0.2492 0.2694 0.5388
2 Rb 0.6954 0.6864 0.3728
3 Mg 0.8620 0.3844 0.7688
4 Fe 0.7201 0.9963 0.9925
5 Fe 0.2592 0.9963 0.9926
6 S 0.6514 0.1681 0.3362
7 S 0.3406 0.8381 0.6762
8 S 0.9986 0.2419 0.0129
9 S 0.9986 0.7710 0.0129



Record 2
This record from the Materials Project describes an optimized crystal structure of K3LaP2S8. The functional is PBE-GGA.

**Energy with MP2020 corrections**: -286.13 eV for the cell shown
**Formation energy from the elements**: -133 kJ per mole of atoms
**Magnetization**: 0.00 μB per formula unit
**DFT total energy**: -270.0 eV/cell

Unit cell a=17.3806 b=9.2925 c=9.7112 alpha=89.41 beta=90.00 gamma=90.00
Fractional positions:
1 K 0.5284 0.2687 0.0119
2 K 0.0284 0.7313 0.4881
3 K 0.4716 0.7313 0.9881
4 K 0.9716 0.2687 0.5119
5 K 0.7860 0.3787 0.1281
6 K 0.2860 0.6213 0.3719
7 K 0.2140 0.6213 0.8719
8 K 0.7140 0.3787 0.6281
9 K 0.2923 0.1288 0.8821
10 K 0.7923 0.8712 0.6179
11 K 0.7077 0.8712 0.1179
12 K 0.2077 0.1288 0.3821
13 La 0.4868 0.2272 0.4727
14 La 0.9868 0.7728 0.0273
15 La 0.5132 0.7728 0.5273
16 La 0.0132 0.2272 0.9727
17 P 0.3987 0.9960 0.2571
18 P 0.8987 0.0040 0.2429
19 P 0.6013 0.0040 0.7429
20 P 0.1013 0.9960 0.7571
21 P 0.5990 0.5239 0.2806
22 P 0.0990 0.4761 0.2194
23 P 0.4010 0.4761 0.7194
24 P 0.9010 0.5239 0.7806
25 S 0.3441 0.3354 0.5932
26 S 0.8441 0.6646 0.9068
27 S 0.6559 0.6646 0.4068
28 S 0.1559 0.3354 0.0932
29 S 0.6252 0.5633 0.0808
30 S 0.1252 0.4367 0.4192
31 S 0.3748 0.4367 0.9192
32 S 0.8748 0.5633 0.5808
33 S 0.1247 0.9637 0.9646
34 S 0.6247 0.0363 0.5354
35 S 0.8753 0.0363 0.0354
36 S 0.3753 0.9637 0.4646
37 S 0.0152 0.0486 0.2512
38 S 0.5152 0.9514 0.2488
39 S 0.9848 0.9514 0.7488
40 S 0.4848 0.0486 0.7512
41 S 0.0185 0.5383 0.8195
42 S 0.5185 0.4617 0.6805
43 S 0.9815 0.4617 0.1805
44 S 0.4815 0.5383 0.3195
45 S 0.8699 0.3162 0.8313
46 S 0.3699 0.6838 0.6687
47 S 0.1301 0.6838 0.1687
48 S 0.6301 0.3162 0.3313
49 S 0.1151 0.2124 0.7238
50 S 0.6151 0.7876 0.7762
51 S 0.8849 0.7876 0.2762
52 S 0.3849 0.2124 0.2238
53 S 0.1718 0.8791 0.6368
54 S 0.6718 0.1209 0.8632
55 S 0.8282 0.1209 0.3632
56 S 0.3282 0.8791 0.1368



Record 3
This record from the Materials Project describes an optimized crystal structure of TiCr2S4. The functional is PBE-GGA.

**Energy above the lowest structure with this stoichiometry**: 262.1 meV per atom
**Energy with MP2020 corrections**: -50.37 eV for the cell shown
**Formation energy from the elements**: -91 kJ per mole of atoms
**Magnetization**: 6.32 μB per formula unit
**DFT total energy**: -48.4 eV/cell

Unit cell a=4.7641 b=4.9320 c=4.9727 alpha=95.93 beta=93.35 gamma=93.89
Fractional positions:
1 Ti 0.1516 0.0939 0.8712
2 Cr 0.7123 0.2745 0.5224
3 Cr 0.7284 0.7312 0.0718
4 S 0.2162 0.2399 0.4411
5 S 0.6873 0.2240 0.0143
6 S 0.2281 0.6608 0.0142
7 S 0.7761 0.7758 0.5650



Record 4
This record from the Materials Project describes an optimized crystal structure of CeC3O6. The functional is PBE-GGA.

**Energy with MP2020 corrections**: -333.77 eV for the cell shown
**Formation energy from the elements**: -194 kJ per mole of atoms
**Magnetization**: 1.84 μB per formula unit
**DFT total energy**: -317.3 eV/cell

Unit cell a=6.7282 b=7.2545 c=10.8989 alpha=90.00 beta=90.00 gamma=90.00
Fractional positions:
1 Ce 0.3729 0.7098 0.2500
2 Ce 0.1271 0.2098 0.2500
3 Ce 0.6271 0.2902 0.7500
4 Ce 0.8729 0.7902 0.7500
5 C 0.8660 0.6270 0.2500
6 C 0.6340 0.1270 0.2500
7 C 0.1340 0.3730 0.7500
8 C 0.3660 0.8730 0.7500
9 C 0.0480 0.9090 0.4782
10 C 0.4520 0.4090 0.0218
11 C 0.9520 0.0910 0.9782
12 C 0.5480 0.5910 0.5218
13 C 0.9520 0.0910 0.5218
14 C 0.5480 0.5910 0.9782
15 C 0.0480 0.9090 0.0218
16 C 0.4520 0.4090 0.4782
17 O 0.0364 0.5505 0.2500
18 O 0.4636 0.0505 0.2500
19 O 0.9636 0.4495 0.7500
20 O 0.5364 0.9495 0.7500
21 O 0.7017 0.5492 0.2500
22 O 0.7983 0.0492 0.2500
23 O 0.2983 0.4508 0.7500
24 O 0.2017 0.9508 0.7500
25 O 0.1480 0.9196 0.3786
26 O 0.3520 0.4196 0.1214
27 O 0.8520 0.0804 0.8786
28 O 0.6480 0.5804 0.6214
29 O 0.8520 0.0804 0.6214
30 O 0.6480 0.5804 0.8786
31 O 0.1480 0.9196 0.1214
32 O 0.3520 0.4196 0.3786
33 O 0.0221 0.7669 0.5418
34 O 0.4779 0.2669 0.9582
35 O 0.9779 0.2331 0.0418
36 O 0.5221 0.7331 0.4582
37 O 0.9779 0.2331 0.4582
38 O 0.5221 0.7331 0.0418
39 O 0.0221 0.7669 0.9582
40 O 0.4779 0.2669 0.5418



Record 5
This record from the Materials Project describes an optimized crystal structure of SrAl2Ga2. The functional is PBE-GGA.

**Formation energy from the elements**: -36 kJ per mole of atoms
**DFT total energy**: -17.1 eV/cell

Unit cell a=6.3611 b=6.3611 c=6.3611 alpha=139.38 beta=139.38 gamma=58.80
Fractional positions:
1 Sr 0.0000 0.0000 0.0000
2 Al 0.7500 0.2500 0.5000
3 Al 0.2500 0.7500 0.5000
4 Ga 0.3830 0.3830 0.0000
5 Ga 0.6170 0.6170 0.0000



Record 6
This record from the Materials Project describes an optimized crystal structure of CaCe4Si3O13. The functional is PBE-GGA.

**Energy with MP2020 corrections**: -364.54 eV for the cell shown
**Formation energy from the elements**: -349 kJ per mole of atoms
**Magnetization**: 4.00 μB per formula unit
**DFT total energy**: -346.7 eV/cell

Unit cell a=7.1029 b=9.7078 c=9.7108 alpha=120.08 beta=90.00 gamma=90.00
Fractional positions:
1 Ca 0.5030 0.6667 0.3335
2 Ca 0.0030 0.3333 0.6665
3 Ce 0.4985 0.3336 0.6665
4 Ce 0.9985 0.6664 0.3335
5 Ce 0.7499 0.2395 0.0044
6 Ce 0.7499 0.9954 0.2346
7 Ce 0.7498 0.7655 0.7616
8 Ce 0.2499 0.7605 0.9956
9 Ce 0.2499 0.0046 0.7654
10 Ce 0.2498 0.2345 0.2384
11 Si 0.7512 0.0276 0.6288
12 Si 0.7511 0.3707 0.3987
13 Si 0.7512 0.6009 0.9726
14 Si 0.2512 0.9724 0.3712
15 Si 0.2511 0.6293 0.6013
16 Si 0.2512 0.3991 0.0274
17 O 0.7508 0.8351 0.5120
18 O 0.7508 0.4864 0.3219
19 O 0.7508 0.6770 0.1651
20 O 0.2508 0.1649 0.4880
21 O 0.2508 0.5136 0.6781
22 O 0.2508 0.3230 0.8349
23 O 0.5660 0.0897 0.7482
24 O 0.5657 0.2514 0.3415
25 O 0.5659 0.6581 0.9107
26 O 0.0660 0.9103 0.2518
27 O 0.0657 0.7486 0.6585
28 O 0.0659 0.3419 0.0893
29 O 0.4325 0.9136 0.2487
30 O 0.4325 0.7517 0.6648
31 O 0.4322 0.3348 0.0857
32 O 0.9325 0.0864 0.7513
33 O 0.9325 0.2483 0.3352
34 O 0.9322 0.6652 0.9143
35 O 0.7473 0.0008 0.0003
36 O 0.2473 0.9992 0.9997
37 O 0.7502 0.1264 0.5321
38 O 0.7500 0.4681 0.5944
39 O 0.7506 0.4052 0.8731
40 O 0.2502 0.8736 0.4679
41 O 0.2500 0.5319 0.4056
42 O 0.2506 0.5948 0.1269



Record 7
This record from the Materials Project describes an optimized crystal structure of Ce5B4C5. The functional is PBE-GGA.

**Formation energy from the elements**: -34 kJ per mole of atoms
**Magnetization**: 0.86 μB per formula unit
**DFT total energy**: -860.0 eV/cell

Unit cell a=8.2970 b=8.3548 c=23.9583 alpha=90.00 beta=90.01 gamma=90.00
Fractional positions:
1 Ce 0.8397 0.2002 0.5858
2 Ce 0.1407 0.2938 0.9360
3 Ce 0.2552 0.9898 0.0522
4 Ce 0.3397 0.7002 0.9142
5 Ce 0.5724 0.4948 0.1957
6 Ce 0.9542 0.2904 0.1965
7 Ce 0.7550 0.4899 0.4478
8 Ce 0.2420 0.4120 0.8002
9 Ce 0.9276 0.4947 0.6957
10 Ce 0.4276 0.9946 0.8043
11 Ce 0.8592 0.7937 0.0641
12 Ce 0.6299 0.6068 0.8028
13 Ce 0.9477 0.9109 0.9388
14 Ce 0.6654 0.2009 0.3181
15 Ce 0.1655 0.7009 0.1819
16 Ce 0.4478 0.4109 0.5612
17 Ce 0.7419 0.9119 0.6998
18 Ce 0.7448 0.4899 0.9478
19 Ce 0.7580 0.9119 0.1998
20 Ce 0.2450 0.9898 0.5522
21 Ce 0.0455 0.5960 0.5587
22 Ce 0.4543 0.7904 0.3034
23 Ce 0.5458 0.2903 0.6966
24 Ce 0.8345 0.2009 0.8181
25 Ce 0.1604 0.7003 0.4142
26 Ce 0.2581 0.4119 0.3002
27 Ce 0.3346 0.7009 0.6819
28 Ce 0.5455 0.0960 0.9413
29 Ce 0.6408 0.7937 0.5641
30 Ce 0.8701 0.6068 0.3028
31 Ce 0.3592 0.2937 0.4359
32 Ce 0.9544 0.0960 0.4413
33 Ce 0.3701 0.1068 0.1971
34 Ce 0.6603 0.2003 0.0858
35 Ce 0.0523 0.4110 0.0613
36 Ce 0.1299 0.1068 0.6972
37 Ce 0.0724 0.9948 0.3043
38 Ce 0.0458 0.7903 0.8034
39 Ce 0.5523 0.9108 0.4388
40 Ce 0.4545 0.5960 0.0587
41 B 0.3013 0.3794 0.1387
42 B 0.3571 0.6996 0.5155
43 B 0.9377 0.8985 0.5284
44 B 0.9531 0.0996 0.0322
45 B 0.8569 0.1996 0.9846
46 B 0.1431 0.6996 0.0154
47 B 0.3686 0.2904 0.0242
48 B 0.6585 0.5604 0.6407
49 B 0.6987 0.8793 0.8613
50 B 0.4578 0.0135 0.6432
51 B 0.5186 0.3289 0.8575
52 B 0.8685 0.7904 0.4759
53 B 0.1586 0.0603 0.8593
54 B 0.5469 0.0996 0.5322
55 B 0.0186 0.8288 0.6425
56 B 0.3416 0.0603 0.3592
57 B 0.1315 0.2904 0.5242
58 B 0.4532 0.5996 0.4678
59 B 0.0468 0.5996 0.9678
60 B 0.8415 0.5603 0.1407
61 B 0.5422 0.5135 0.3568
62 B 0.1987 0.3793 0.6387
63 B 0.4814 0.8288 0.1425
64 B 0.4377 0.3986 0.9716
65 B 0.9577 0.5135 0.8569
66 B 0.6314 0.7903 0.9759
67 B 0.8013 0.8793 0.3613
68 B 0.6430 0.1996 0.4845
69 B 0.5622 0.8984 0.0284
70 B 0.0623 0.3985 0.4716
71 B 0.9814 0.3289 0.3575
72 B 0.0423 0.0135 0.1431
73 C 0.5650 0.4982 0.2962
74 C 0.5373 0.3051 0.7971
75 C 0.6485 0.8021 0.9137
76 C 0.4678 0.5940 0.4055
77 C 0.4490 0.3876 0.9099
78 C 0.2451 0.9923 0.9082
79 C 0.6614 0.1974 0.1925
80 C 0.8383 0.1988 0.9229
81 C 0.0373 0.8051 0.7029
82 C 0.8386 0.1975 0.6925
83 C 0.7452 0.4924 0.5918
84 C 0.1486 0.3022 0.5863
85 C 0.7650 0.8989 0.3016
86 C 0.3384 0.6987 0.5772
87 C 0.0322 0.5940 0.9055
88 C 0.6327 0.6051 0.6995
89 C 0.8514 0.8021 0.4138
90 C 0.2349 0.3990 0.6984
91 C 0.3515 0.3021 0.0862
92 C 0.1614 0.6974 0.3075
93 C 0.4350 0.9982 0.7038
94 C 0.7349 0.8990 0.8016
95 C 0.6617 0.1987 0.4229
96 C 0.1328 0.1051 0.8005
97 C 0.0509 0.3876 0.4098
98 C 0.2549 0.9923 0.4082
99 C 0.5323 0.0939 0.5945
100 C 0.1617 0.6987 0.0771
101 C 0.0649 0.9982 0.2038
102 C 0.4627 0.8052 0.2029
103 C 0.5510 0.8876 0.0901
104 C 0.3673 0.1051 0.3005
105 C 0.9350 0.4982 0.7962
106 C 0.9677 0.0940 0.0944
107 C 0.3386 0.6975 0.8075
108 C 0.9627 0.3052 0.2970
109 C 0.9490 0.8875 0.5902
110 C 0.2651 0.3989 0.1984
111 C 0.7548 0.4923 0.0918
112 C 0.8672 0.6051 0.1995



Record 8
This record from the Materials Project describes an optimized crystal structure of LaMg3. The functional is PBE-GGA.

**Formation energy from the elements**: -13 kJ per mole of atoms
**Magnetization**: 0.01 μB per formula unit
**DFT total energy**: -10.3 eV/cell

Unit cell a=5.2597 b=5.2597 c=5.2597 alpha=118.53 beta=118.53 gamma=92.56
Fractional positions:
1 La 0.0000 0.0000 0.0000
2 Mg 0.5000 0.5000 0.0000
3 Mg 0.2500 0.7500 0.5000
4 Mg 0.7500 0.2500 0.5000



Record 9
This record from the Materials Project describes an optimized crystal structure of HoFeB4. The functional is PBE-GGA.

**Formation energy from the elements**: -61 kJ per mole of atoms
**DFT total energy**: -174.2 eV/cell

Unit cell a=3.3654 b=5.8760 c=11.3647 alpha=90.00 beta=90.00 gamma=90.00
Fractional positions:
1 Ho 0.5000 0.3740 0.1501
2 Ho 0.5000 0.6260 0.8499
3 Ho 0.5000 0.1260 0.6501
4 Ho 0.5000 0.8740 0.3499
5 Fe 0.5000 0.3667 0.4112
6 Fe 0.5000 0.6333 0.5888
7 Fe 0.5000 0.1333 0.9112
8 Fe 0.5000 0.8667 0.0888
9 B 0.0000 0.1116 0.0460
10 B 0.0000 0.8884 0.9540
11 B 0.0000 0.3884 0.5460
12 B 0.0000 0.6116 0.4540
13 B 0.0000 0.1391 0.4681
14 B 0.0000 0.8609 0.5319
15 B 0.0000 0.3609 0.9681
16 B 0.0000 0.6391 0.0319
17 B 0.0000 0.0246 0.1903
18 B 0.0000 0.9754 0.8097
19 B 0.0000 0.4754 0.6903
20 B 0.0000 0.5246 0.3097
21 B 0.0000 0.2180 0.3160
22 B 0.0000 0.7820 0.6840
23 B 0.0000 0.2820 0.8160
24 B 0.0000 0.7180 0.1840



Record 10
This record from the Materials Project describes an optimized crystal structure of K2TeSe3. The functional is PBE-GGA.

**Energy with MP2020 corrections**: -86.19 eV for the cell shown
**Formation energy from the elements**: -92 kJ per mole of atoms
**DFT total energy**: -80.5 eV/cell

Unit cell a=6.7421 b=10.4393 c=13.4486 alpha=74.92 beta=90.00 gamma=90.00
Fractional positions:
1 K 0.2511 0.4925 0.6241
2 K 0.7511 0.5075 0.8759
3 K 0.7489 0.5075 0.3759
4 K 0.2489 0.4925 0.1241
5 K 0.7563 0.8427 0.5463
6 K 0.2563 0.1573 0.9537
7 K 0.2437 0.1573 0.4537
8 K 0.7437 0.8427 0.0463
9 Te 0.7877 0.2132 0.6649
10 Te 0.7123 0.2132 0.1649
11 Te 0.2123 0.7868 0.3351
12 Te 0.2877 0.7868 0.8351
13 Se 0.3495 0.1630 0.2013
14 Se 0.7535 0.4630 0.6348
15 Se 0.8495 0.8370 0.2987
16 Se 0.6505 0.8370 0.7987
17 Se 0.7559 0.1785 0.9865
18 Se 0.2535 0.5370 0.8652
19 Se 0.2465 0.5370 0.3652
20 Se 0.7465 0.4630 0.1348
21 Se 0.7441 0.1785 0.4865
22 Se 0.2559 0.8215 0.5135
23 Se 0.2441 0.8215 0.0135
24 Se 0.1505 0.1630 0.7013



Record 11
This record from the Materials Project describes an optimized crystal structure of KHfMg6. The functional is PBE-GGA.

**Energy above the lowest structure with this stoichiometry**: 0.0 meV per atom
**Formation energy from the elements**: 23 kJ per mole of atoms
**Magnetization**: 0.01 μB per formula unit
**DFT total energy**: -37.6 eV/cell

Unit cell a=5.2064 b=6.7161 c=11.4567 alpha=90.00 beta=90.00 gamma=90.00
Fractional positions:
1 K 0.0000 0.5000 0.4107
2 K 0.0000 0.0000 0.9107
3 Hf 0.5000 0.5000 0.0865
4 Hf 0.5000 0.0000 0.5865
5 Mg 0.0000 0.2574 0.1601
6 Mg 0.0000 0.7426 0.1601
7 Mg 0.0000 0.5000 0.9259
8 Mg 0.5000 0.2694 0.8323
9 Mg 0.5000 0.7306 0.8323
10 Mg 0.5000 0.5000 0.5920
11 Mg 0.0000 0.7574 0.6601
12 Mg 0.0000 0.2426 0.6601
13 Mg 0.0000 0.0000 0.4259
14 Mg 0.5000 0.7694 0.3323
15 Mg 0.5000 0.2306 0.3323
16 Mg 0.5000 0.0000 0.0920



Record 12
This record from the Materials Project describes an optimized crystal structure of Sr3In4Pb. The functional is PBE-GGA.

**Formation energy from the elements**: -44 kJ per mole of atoms
**Magnetization**: 0.00 μB per formula unit
**DFT total energy**: -46.9 eV/cell

Unit cell a=6.6008 b=6.6008 c=16.9487 alpha=90.00 beta=90.00 gamma=134.91
Fractional positions:
1 Sr 0.0883 0.9117 0.3889
2 Sr 0.6361 0.3639 0.7500
3 Sr 0.3639 0.6361 0.2500
4 Sr 0.9117 0.0883 0.6111
5 Sr 0.9117 0.0883 0.8889
6 Sr 0.0883 0.9117 0.1111
7 In 0.2070 0.7930 0.9029
8 In 0.7930 0.2070 0.4029
9 In 0.3869 0.6131 0.4640
10 In 0.6131 0.3869 0.9640
11 In 0.2070 0.7930 0.5971
12 In 0.6131 0.3869 0.5360
13 In 0.3869 0.6131 0.0360
14 In 0.7930 0.2070 0.0971
15 Pb 0.3459 0.6541 0.7500
16 Pb 0.6541 0.3459 0.2500



Among the records above, which one has the lowest formation energy from the elements? CaCe4Si3O13